Version i
First-principles (PBE with a Hubbard U) data for a geometry-optimized Li2VF5 structure, as listed in Materials Project.

Lattice parameters (Å, degrees): 9.737 5.836 7.835 73.71 90.00 90.00
Positions (direct):
1 Li 0.806 0.859 0.483
2 Li 0.177 0.666 0.627
3 Li 0.694 0.859 0.983
4 Li 0.323 0.666 0.127
5 Li 0.677 0.334 0.873
6 Li 0.306 0.141 0.017
7 Li 0.823 0.334 0.373
8 Li 0.194 0.141 0.517
9 V 0.493 0.870 0.710
10 V 0.007 0.870 0.210
11 V 0.993 0.130 0.790
12 V 0.507 0.130 0.290
13 F 0.125 0.899 0.746
14 F 0.384 0.915 0.906
15 F 0.375 0.899 0.246
16 F 0.116 0.915 0.406
17 F 0.609 0.870 0.492
18 F 0.617 0.635 0.876
19 F 0.369 0.636 0.676
20 F 0.891 0.870 0.992
21 F 0.883 0.635 0.376
22 F 0.869 0.364 0.824
23 F 0.131 0.636 0.176
24 F 0.117 0.365 0.624
25 F 0.109 0.130 0.008
26 F 0.631 0.364 0.324
27 F 0.383 0.365 0.124
28 F 0.391 0.130 0.508
29 F 0.884 0.085 0.594
30 F 0.625 0.101 0.754
31 F 0.616 0.085 0.094
32 F 0.875 0.101 0.254

Computed properties:
The value obtained for the total magnetic moment is 8.00 μB per cell.

---

Version ii
First-principles (PBE with a Hubbard U) data for a geometry-optimized Li2VF5 structure, as listed in Materials Project.

Lattice parameters (Å, degrees): 6.951 7.482 7.818 89.40 90.00 90.00
Positions (direct):
1 Li 0.518 0.751 0.981
2 Li 0.482 0.751 0.481
3 Li 0.262 0.529 0.814
4 Li 0.738 0.529 0.314
5 Li 0.003 0.262 0.541
6 Li 0.997 0.262 0.041
7 Li 0.809 0.002 0.799
8 Li 0.191 0.002 0.299
9 V 0.012 0.743 0.596
10 V 0.988 0.743 0.096
11 V 0.519 0.254 0.899
12 V 0.481 0.254 0.399
13 F 0.546 0.991 0.882
14 F 0.454 0.991 0.382
15 F 0.904 0.764 0.844
16 F 0.096 0.764 0.344
17 F 0.283 0.755 0.658
18 F 0.717 0.755 0.158
19 F 0.755 0.700 0.517
20 F 0.245 0.700 0.017
21 F 0.533 0.513 0.877
22 F 0.467 0.513 0.377
23 F 0.056 0.490 0.639
24 F 0.944 0.490 0.139
25 F 0.244 0.292 0.938
26 F 0.756 0.292 0.438
27 F 0.803 0.239 0.862
28 F 0.197 0.239 0.362
29 F 0.437 0.252 0.650
30 F 0.563 0.252 0.150
31 F 0.978 0.001 0.597
32 F 0.022 0.001 0.097

Computed properties:
The value obtained for the total magnetic moment is 8.00 μB per cell.

---

Energy relative to the most stable one, in eV/atom: version i 0.010; version ii 0.000

---

Version i
First-principles (PBE with a Hubbard U) data for a geometry-optimized Na2NiPCO7 structure, as listed in Materials Project.

Lattice parameters (Å, degrees): 10.098 10.322 6.666 90.48 90.24 60.59
Positions (direct):
1 Na 0.007 0.260 0.482
2 Na 0.006 0.261 0.017
3 Na 0.489 0.254 0.990
4 Na 0.491 0.250 0.513
5 Na 0.856 0.055 0.736
6 Na 0.506 0.750 0.010
7 Na 0.505 0.750 0.488
8 Na 0.000 0.734 0.980
9 Ni 0.283 0.064 0.751
10 Ni 0.215 0.439 0.256
11 Ni 0.786 0.561 0.750
12 Ni 0.720 0.936 0.254
13 P 0.350 0.070 0.250
14 P 0.151 0.430 0.751
15 P 0.850 0.573 0.251
16 P 0.646 0.934 0.750
17 C 0.821 0.110 0.247
18 C 0.320 0.608 0.251
19 C 0.680 0.388 0.750
20 C 0.180 0.892 0.752
21 O 0.098 0.038 0.748
22 O 0.267 0.057 0.064
23 O 0.268 0.059 0.437
24 O 0.143 0.283 0.753
25 O 0.019 0.441 0.250
26 O 0.477 0.065 0.757
27 O 0.355 0.218 0.250
28 O 0.233 0.444 0.939
29 O 0.236 0.437 0.565
30 O 0.676 0.154 0.250
31 O 0.176 0.653 0.250
32 O 0.403 0.464 0.255
33 O 0.626 0.300 0.752
34 O 0.119 0.813 0.760
35 O 0.874 0.198 0.248
36 O 0.376 0.693 0.248
37 O 0.599 0.531 0.749
38 O 0.827 0.336 0.748
39 O 0.326 0.844 0.749
40 O 0.769 0.554 0.065
41 O 0.769 0.558 0.437
42 O 0.643 0.786 0.748
43 O 0.519 0.939 0.249
44 O 0.983 0.558 0.756
45 O 0.854 0.720 0.244
46 O 0.719 0.960 0.563
47 O 0.732 0.949 0.933
48 O 0.906 0.967 0.246

Computed properties:
The value obtained for the total magnetic moment is 6.00 μB per cell.

---

Version ii
First-principles (PBE with a Hubbard U) data for a geometry-optimized Na2NiPCO7 structure, as listed in Materials Project.

Lattice parameters (Å, degrees): 6.617 8.880 10.293 88.61 89.71 89.55
Positions (direct):
1 Na 0.010 0.752 0.878
2 Na 0.489 0.751 0.880
3 Na 0.014 0.736 0.377
4 Na 0.482 0.735 0.376
5 Na 0.978 0.263 0.634
6 Na 0.513 0.255 0.118
7 Na 0.991 0.252 0.114
8 Na 0.731 0.090 0.405
9 Ni 0.748 0.648 0.610
10 Ni 0.753 0.652 0.111
11 Ni 0.256 0.350 0.888
12 Ni 0.252 0.345 0.393
13 P 0.250 0.574 0.639
14 P 0.251 0.577 0.142
15 P 0.752 0.426 0.859
16 P 0.751 0.418 0.354
17 C 0.753 0.924 0.641
18 C 0.750 0.929 0.148
19 C 0.252 0.077 0.857
20 C 0.246 0.071 0.356
21 O 0.248 0.936 0.844
22 O 0.246 0.930 0.338
23 O 0.748 0.859 0.527
24 O 0.750 0.869 0.034
25 O 0.747 0.829 0.740
26 O 0.748 0.833 0.246
27 O 0.063 0.675 0.606
28 O 0.437 0.670 0.602
29 O 0.064 0.676 0.107
30 O 0.439 0.673 0.108
31 O 0.754 0.579 0.927
32 O 0.748 0.568 0.425
33 O 0.250 0.542 0.790
34 O 0.248 0.541 0.293
35 O 0.756 0.460 0.709
36 O 0.762 0.455 0.203
37 O 0.242 0.423 0.570
38 O 0.250 0.426 0.071
39 O 0.565 0.332 0.899
40 O 0.940 0.327 0.893
41 O 0.561 0.320 0.377
42 O 0.934 0.316 0.393
43 O 0.251 0.174 0.761
44 O 0.249 0.171 0.260
45 O 0.256 0.139 0.971
46 O 0.246 0.129 0.470
47 O 0.764 0.065 0.648
48 O 0.752 0.070 0.165

Computed properties:
The value obtained for the total magnetic moment is 8.00 μB per cell.

---

Energy relative to the most stable one, in eV/atom: version i 0.000; version ii 0.014

---

Version i
First-principles (PBE with a Hubbard U) data for a geometry-optimized Li2V3SnO8 structure, as listed in Materials Project.

Lattice parameters (Å, degrees): 6.061 6.039 8.564 90.36 89.90 89.71
Positions (direct):
1 Li 0.998 0.246 0.122
2 Li 0.503 0.740 0.623
3 Li 0.999 0.995 0.502
4 Li 0.501 0.502 0.997
5 V 0.997 0.513 0.496
6 V 0.496 0.022 0.991
7 V 0.263 0.252 0.754
8 V 0.228 0.755 0.259
9 V 0.741 0.253 0.755
10 V 0.755 0.750 0.257
11 Sn 0.000 0.764 0.882
12 Sn 0.497 0.265 0.381
13 O 0.010 0.520 0.254
14 O 0.504 0.008 0.766
15 O 0.002 0.491 0.746
16 O 0.492 0.990 0.242
17 O 0.240 0.732 0.476
18 O 0.731 0.225 0.987
19 O 0.767 0.737 0.482
20 O 0.272 0.221 0.991
21 O 0.012 0.964 0.246
22 O 0.499 0.466 0.752
23 O 0.004 0.028 0.745
24 O 0.495 0.530 0.242
25 O 0.229 0.256 0.514
26 O 0.726 0.763 0.014
27 O 0.770 0.256 0.511
28 O 0.270 0.757 0.015

Computed properties:
The value obtained for the total magnetic moment is 0.00 μB per cell.

---

Version ii
First-principles (PBE with a Hubbard U) data for a geometry-optimized Li2V3SnO8 structure, as listed in Materials Project.

Lattice parameters (Å, degrees): 8.487 8.487 8.487 90.00 90.00 90.00
Positions (direct):
1 Li 0.129 0.871 0.371
2 Li 0.253 0.753 0.747
3 Li 0.247 0.247 0.247
4 Li 0.371 0.129 0.871
5 Li 0.629 0.629 0.629
6 Li 0.753 0.747 0.253
7 Li 0.747 0.253 0.753
8 Li 0.871 0.371 0.129
9 V 0.117 0.613 0.114
10 V 0.113 0.386 0.883
11 V 0.114 0.117 0.613
12 V 0.386 0.883 0.113
13 V 0.387 0.614 0.383
14 V 0.383 0.387 0.614
15 V 0.617 0.887 0.886
16 V 0.613 0.114 0.117
17 V 0.614 0.383 0.387
18 V 0.886 0.617 0.887
19 V 0.887 0.886 0.617
20 V 0.883 0.113 0.386
21 Sn 0.997 0.503 0.497
22 Sn 0.503 0.497 0.997
23 Sn 0.497 0.997 0.503
24 Sn 0.003 0.003 0.003
25 O 0.107 0.126 0.389
26 O 0.111 0.893 0.626
27 O 0.119 0.619 0.881
28 O 0.126 0.389 0.107
29 O 0.124 0.150 0.859
30 O 0.136 0.364 0.636
31 O 0.141 0.624 0.350
32 O 0.150 0.859 0.124
33 O 0.350 0.141 0.624
34 O 0.359 0.376 0.850
35 O 0.364 0.636 0.136
36 O 0.376 0.850 0.359
37 O 0.374 0.611 0.607
38 O 0.381 0.381 0.381
39 O 0.389 0.107 0.126
40 O 0.393 0.874 0.889
41 O 0.607 0.374 0.611
42 O 0.611 0.607 0.374
43 O 0.619 0.881 0.119
44 O 0.626 0.111 0.893
45 O 0.624 0.350 0.141
46 O 0.636 0.136 0.364
47 O 0.641 0.876 0.650
48 O 0.650 0.641 0.876
49 O 0.850 0.359 0.376
50 O 0.859 0.124 0.150
51 O 0.864 0.864 0.864
52 O 0.876 0.650 0.641
53 O 0.874 0.889 0.393
54 O 0.881 0.119 0.619
55 O 0.889 0.393 0.874
56 O 0.893 0.626 0.111

Computed properties:
The value obtained for the total magnetic moment is 20.00 μB per cell.

---

Energy relative to the most stable one, in eV/atom: version i 0.000; version ii 0.047

---

Version i
First-principles (PBE with a Hubbard U) data for a geometry-optimized NiS2O12 structure, as listed in Materials Project.

Lattice parameters (Å, degrees): 6.289 6.992 7.920 106.74 109.42 88.76
Positions (direct):
1 Ni 0.000 0.000 0.000
2 S 0.485 0.426 0.696
3 S 0.515 0.574 0.304
4 O 0.310 0.265 0.599
5 O 0.690 0.735 0.401
6 O 0.438 0.617 0.799
7 O 0.562 0.383 0.201
8 O 0.708 0.396 0.685
9 O 0.292 0.604 0.315
10 O 0.020 0.937 0.225
11 O 0.980 0.063 0.775
12 O 0.943 0.247 0.084
13 O 0.057 0.753 0.916
14 O 0.808 0.934 0.125
15 O 0.192 0.066 0.875

Computed properties:
The value obtained for the total magnetic moment is 6.00 μB per cell.

---

Version ii
First-principles (PBE with a Hubbard U) data for a geometry-optimized NiS2O12 structure, as listed in Materials Project.

Lattice parameters (Å, degrees): 6.386 7.625 7.214 68.76 85.44 97.51
Positions (direct):
1 Ni 0.000 0.000 0.000
2 S 0.492 0.692 0.568
3 S 0.508 0.308 0.432
4 O 0.328 0.586 0.734
5 O 0.672 0.414 0.266
6 O 0.436 0.782 0.370
7 O 0.564 0.218 0.630
8 O 0.713 0.704 0.595
9 O 0.287 0.296 0.405
10 O 0.080 0.206 0.072
11 O 0.920 0.794 0.928
12 O 0.953 0.079 0.741
13 O 0.047 0.921 0.259
14 O 0.769 0.083 0.078
15 O 0.231 0.917 0.922

Computed properties:
The value obtained for the total magnetic moment is 8.00 μB per cell.

---

Energy relative to the most stable one, in eV/atom: version i 0.094; version ii 0.000

---

Version i
First-principles (PBE with a Hubbard U) data for a geometry-optimized Cs2Tm2MgW4O16 structure, as listed in Materials Project.

Lattice parameters (Å, degrees): 7.491 8.038 7.540 62.92 61.85 86.93
Positions (direct):
1 Cs 0.763 0.133 0.806
2 Cs 0.227 0.859 0.220
3 Tm 0.246 0.797 0.746
4 Tm 0.756 0.201 0.267
5 Mg 0.991 0.483 0.374
6 W 0.290 0.324 0.697
7 W 0.688 0.684 0.307
8 W 0.701 0.682 0.802
9 W 0.322 0.308 0.188
10 O 0.375 0.269 0.921
11 O 0.623 0.731 0.061
12 O 0.781 0.602 0.559
13 O 0.222 0.394 0.441
14 O 0.645 0.912 0.629
15 O 0.365 0.078 0.372
16 O 0.024 0.314 0.901
17 O 0.981 0.680 0.103
18 O 0.377 0.615 0.563
19 O 0.610 0.389 0.443
20 O 0.376 0.591 0.960
21 O 0.644 0.404 0.030
22 O 0.268 0.073 0.758
23 O 0.738 0.935 0.236
24 O 0.974 0.756 0.703
25 O 0.020 0.270 0.297

Computed properties:
The value obtained for the total magnetic moment is 2.00 μB per cell.

---

Version ii
First-principles (PBE with a Hubbard U) data for a geometry-optimized Cs2Tm2MgW4O16 structure, as listed in Materials Project.

Lattice parameters (Å, degrees): 7.567 7.929 7.527 63.82 63.84 90.63
Positions (direct):
1 Cs 0.779 0.240 0.719
2 Cs 0.212 0.806 0.250
3 Tm 0.294 0.799 0.718
4 Tm 0.763 0.199 0.245
5 Mg 0.935 0.930 0.902
6 W 0.289 0.314 0.698
7 W 0.692 0.663 0.328
8 W 0.690 0.698 0.807
9 W 0.310 0.297 0.198
10 O 0.369 0.254 0.943
11 O 0.636 0.759 0.052
12 O 0.758 0.626 0.576
13 O 0.241 0.369 0.430
14 O 0.615 0.919 0.637
15 O 0.393 0.080 0.352
16 O 0.036 0.331 0.886
17 O 0.949 0.660 0.123
18 O 0.402 0.625 0.544
19 O 0.585 0.362 0.466
20 O 0.376 0.586 0.966
21 O 0.638 0.422 0.031
22 O 0.218 0.035 0.792
23 O 0.777 0.951 0.190
24 O 0.967 0.799 0.706
25 O 0.036 0.219 0.298

Computed properties:
The value obtained for the total magnetic moment is 2.00 μB per cell.

---

Energy relative to the most stable one, in eV/atom: version i 0.000; version ii 0.034

---

Version i
First-principles (PBE with a Hubbard U) data for a geometry-optimized V3CoO8 structure, as listed in Materials Project.

Lattice parameters (Å, degrees): 6.419 6.419 6.563 73.64 73.64 34.02
Positions (direct):
1 V 0.601 0.601 0.279
2 V 0.400 0.400 0.724
3 V 0.703 0.703 0.702
4 Co 0.303 0.303 0.302
5 O 0.867 0.867 0.689
6 O 0.744 0.744 0.379
7 O 0.640 0.640 0.990
8 O 0.551 0.551 0.646
9 O 0.455 0.455 0.355
10 O 0.364 0.364 0.989
11 O 0.246 0.246 0.660
12 O 0.126 0.126 0.287

Computed properties:
The value obtained for the total magnetic moment is 2.00 μB per cell.

---

Version ii
First-principles (PBE with a Hubbard U) data for a geometry-optimized V3CoO8 structure, as listed in Materials Project.

Lattice parameters (Å, degrees): 5.585 5.592 7.347 89.47 89.50 89.94
Positions (direct):
1 V 0.990 0.936 0.121
2 V 0.502 0.568 0.627
3 V 0.003 0.433 0.375
4 Co 0.492 0.068 0.877
5 O 0.695 0.965 0.074
6 O 0.550 0.860 0.673
7 O 0.064 0.631 0.185
8 O 0.196 0.521 0.558
9 O 0.693 0.472 0.443
10 O 0.553 0.400 0.816
11 O 0.056 0.125 0.311
12 O 0.157 0.022 0.939

Computed properties:
The value obtained for the total magnetic moment is 2.00 μB per cell.

---

Energy relative to the most stable one, in eV/atom: version i 0.006; version ii 0.000